This record from the Materials Project database describes a geometry-optimized Rb2CrF5 structure. The functional is r2SCAN.

Results
ΔH_f (0 K) (eV/atom): -3.121
Total DFT energy (no corrections) (eV/atom): -10.44

Cell: 5.739 7.469 11.974 Å, 90.00 90.00 90.00°
Positions (direct):
Rb (0.250, 0.489, 0.275)
Rb (0.750, 0.511, 0.725)
Rb (0.250, 0.989, 0.225)
Rb (0.750, 0.011, 0.775)
Rb (0.250, 0.149, 0.585)
Rb (0.750, 0.851, 0.415)
Rb (0.250, 0.649, 0.915)
Rb (0.750, 0.351, 0.085)
Cr (0.250, 0.658, 0.562)
Cr (0.750, 0.342, 0.438)
Cr (0.250, 0.158, 0.938)
Cr (0.750, 0.842, 0.062)
F (0.513, 0.195, 0.382)
F (0.013, 0.805, 0.618)
F (0.987, 0.695, 0.118)
F (0.487, 0.305, 0.882)
F (0.487, 0.805, 0.618)
F (0.987, 0.195, 0.382)
F (0.013, 0.305, 0.882)
F (0.513, 0.695, 0.118)
F (0.250, 0.787, 0.423)
F (0.750, 0.213, 0.577)
F (0.250, 0.287, 0.077)
F (0.750, 0.713, 0.923)
F (0.500, 0.500, 0.500)
F (0.000, 0.500, 0.500)
F (0.000, 0.000, 0.000)
F (0.500, 0.000, 0.000)
F (0.750, 0.986, 0.191)
F (0.250, 0.014, 0.809)
F (0.750, 0.486, 0.309)
F (0.250, 0.514, 0.691)